This record from the Materials Project database describes a relaxed structure of YMgAu2. The functional is PBE.

Cell lengths 4.9185, 4.9185, 4.9185 Å; angles 60.00, 60.00, 60.00 degrees
With the nearest neighbours (Å) after each atom.
Fractional positions:
Y1 0.0000 0.0000 0.0000  8 Au 3.01
Mg1 0.5000 0.5000 0.5000  8 Au 3.01
Au1 0.7500 0.7500 0.7500  4 Mg 3.01, 4 Y 3.01
Au2 0.2500 0.2500 0.2500  4 Mg 3.01, 4 Y 3.01

Summary:
- density (g cm⁻³) = 10.01
- energy of formation from the pure elements (eV per atom) = -0.78
- symmetry = No. 225